The following is a PBE+U calculation of a relaxed structure of Tl2Ni2Mo3O12, from Materials Project.

Cell and atoms, written as extended XYZ:
```
76
Lattice="10.865 0.000 0.000 0.000 10.865 0.000 0.000 0.000 10.865" Properties=species:S:1:pos:R:3 pbc="T T T"
Tl 0.593 0.593 0.593
Tl 1.934 3.498 7.367
Tl 3.498 7.367 1.934
Tl 4.840 10.272 6.025
Tl 6.025 4.840 10.272
Tl 7.367 1.934 3.498
Tl 8.931 8.931 8.931
Tl 10.272 6.025 4.840
Ni 1.150 9.715 4.282
Ni 1.775 7.207 9.090
Ni 3.657 3.657 3.657
Ni 4.282 1.150 9.715
Ni 6.582 6.582 6.582
Ni 7.207 9.090 1.775
Ni 9.090 1.775 7.207
Ni 9.715 4.282 1.150
Mo 0.248 2.271 4.091
Mo 1.342 10.617 7.704
Mo 2.271 4.091 0.248
Mo 3.161 6.774 5.681
Mo 4.091 0.248 2.271
Mo 5.184 8.593 9.523
Mo 5.681 3.161 6.774
Mo 6.774 5.681 3.161
Mo 7.704 1.342 10.617
Mo 8.593 9.523 5.184
Mo 9.523 5.184 8.593
Mo 10.617 7.704 1.342
O 0.168 6.119 8.392
O 0.192 0.554 3.529
O 0.541 8.740 2.572
O 0.554 3.529 0.192
O 0.686 7.905 10.697
O 1.045 8.923 8.209
O 1.904 10.673 5.986
O 1.941 2.776 4.387
O 2.124 8.005 4.892
O 2.473 5.601 10.178
O 2.572 0.541 8.740
O 2.656 6.478 7.374
O 2.776 4.387 1.941
O 2.860 10.324 3.308
O 2.960 5.264 4.746
O 3.308 2.860 10.324
O 3.491 8.089 9.819
O 3.529 0.192 0.554
O 4.387 1.941 2.776
O 4.746 2.960 5.264
O 4.878 7.336 5.624
O 4.892 2.124 8.005
O 5.241 10.311 8.961
O 5.264 4.746 2.960
O 5.601 10.178 2.473
O 5.624 4.878 7.336
O 5.973 7.557 8.293
O 5.986 1.904 10.673
O 6.119 8.392 0.168
O 6.478 7.374 2.656
O 7.336 5.624 4.878
O 7.374 2.656 6.478
O 7.557 8.293 5.973
O 7.905 10.697 0.686
O 8.005 4.892 2.124
O 8.089 9.819 3.491
O 8.209 1.045 8.923
O 8.293 5.973 7.557
O 8.392 0.168 6.119
O 8.740 2.572 0.541
O 8.923 8.209 1.045
O 8.961 5.241 10.311
O 9.819 3.491 8.089
O 10.178 2.473 5.601
O 10.311 8.961 5.241
O 10.324 3.308 2.860
O 10.673 5.986 1.904
O 10.697 0.686 7.905
```

Formation energy from the elements: -1.7123 eV/atom
Crystal system: cubic
MP2020-corrected energy: -7.407 eV/atom

***

The following is a PBE+U calculation of a relaxed structure of Zr9NiMo4O3, from Materials Project.

Cell and atoms, written as extended XYZ:
```
34
Lattice="8.749 0.000 0.000 -4.374 7.577 0.000 0.000 0.000 8.714" Properties=species:S:1:pos:R:3 pbc="T T T"
Zr -1.649 4.099 2.178
Zr 0.000 3.093 4.817
Zr 0.000 3.093 8.254
Zr -1.696 6.030 4.817
Zr -1.696 6.030 8.254
Zr 2.679 1.547 0.460
Zr 2.679 1.547 3.897
Zr 1.649 4.099 2.178
Zr 0.000 6.956 2.178
Zr 4.374 0.621 6.535
Zr 2.725 3.478 6.535
Zr 1.696 6.030 4.817
Zr 1.696 6.030 8.254
Zr 6.070 1.547 0.460
Zr 6.070 1.547 3.897
Zr 4.374 4.484 0.460
Zr 4.374 4.484 3.897
Zr 6.024 3.478 6.535
Ni 0.000 5.051 6.535
Ni 4.374 2.526 2.178
Mo 0.000 0.000 0.000
Mo 0.000 0.000 4.357
Mo 0.000 1.643 2.178
Mo -2.951 6.755 2.178
Mo 1.423 0.822 6.535
Mo 2.951 6.755 2.178
Mo 7.326 0.822 6.535
Mo 4.374 5.933 6.535
O -2.187 3.788 0.000
O -2.187 3.788 4.357
O 4.374 0.000 0.000
O 4.374 0.000 4.357
O 2.187 3.788 0.000
O 2.187 3.788 4.357
```

Formation energy from the elements: -0.6116 eV/atom
Crystal system: hexagonal
MP2020-corrected energy: -8.902 eV/atom

***

The following is a PBE+U calculation of a relaxed structure of NpMoO3, from Materials Project.

Cell and atoms, written as extended XYZ:
```
5
Lattice="4.026 0.000 0.000 0.000 4.026 0.000 0.000 0.000 4.026" Properties=species:S:1:pos:R:3 pbc="T T T"
Np 0.000 0.000 0.000
Mo 2.013 2.013 2.013
O 0.000 2.013 2.013
O 2.013 0.000 2.013
O 2.013 2.013 0.000
```

Formation energy from the elements: -2.0928 eV/atom
Crystal system: cubic
MP2020-corrected energy: -9.820 eV/atom

***

The following is a PBE+U calculation of a relaxed structure of Mo3O10, from Materials Project.

Cell and atoms, written as extended XYZ:
```
26
Lattice="11.144 0.000 0.000 -5.572 9.651 0.000 0.000 0.000 3.675" Properties=species:S:1:pos:R:3 pbc="T T T"
Mo -1.364 4.450 0.919
Mo -1.036 8.608 0.919
Mo 3.171 3.406 2.756
Mo 2.401 6.245 0.919
Mo 6.608 1.043 2.756
Mo 6.936 5.201 2.756
O 0.000 0.000 0.919
O 0.000 0.000 2.756
O -1.402 2.747 0.919
O -1.937 4.847 2.756
O -1.572 6.944 0.919
O -2.492 9.492 0.919
O 0.345 4.818 0.919
O 1.678 2.588 2.756
O -0.406 8.905 2.756
O 2.343 5.550 2.756
O 4.345 2.110 2.756
O 1.227 7.541 0.919
O 3.229 4.101 0.919
O 5.978 0.746 0.919
O 3.894 7.064 0.919
O 5.227 4.833 2.756
O 8.064 0.160 2.756
O 7.144 2.707 2.756
O 7.509 4.804 0.919
O 6.974 6.904 2.756
```

Formation energy from the elements: -1.6241 eV/atom
Crystal system: hexagonal
MP2020-corrected energy: -7.933 eV/atom
Offset from the most stable computed form: 0 meV/atom

***

The following is a PBE+U calculation of a relaxed structure of Mo3O8, from Materials Project.

Cell and atoms, written as extended XYZ:
```
11
Lattice="5.756 -3.039 0.000 5.756 3.039 0.000 -1.844 0.000 4.718" Properties=species:S:1:pos:R:3 pbc="T T T"
Mo 0.000 0.000 0.000
Mo 4.834 1.278 2.359
Mo 4.834 -1.278 2.359
O 0.369 0.000 1.900
O 4.473 1.648 0.505
O 5.194 1.648 4.212
O 3.388 0.000 2.628
O 6.279 0.000 2.089
O 4.473 -1.648 0.505
O 5.194 -1.648 4.212
O 9.299 0.000 2.818
```

Formation energy from the elements: -1.6936 eV/atom
Crystal system: monoclinic
MP2020-corrected energy: -8.250 eV/atom
Offset from the most stable computed form: 5 meV/atom

***

The following is a PBE+U calculation of a relaxed structure of Mo3O10, from Materials Project.

Cell and atoms, written as extended XYZ:
```
26
Lattice="7.353 0.000 0.000 0.000 4.089 6.739 0.000 -4.089 6.739" Properties=species:S:1:pos:R:3 pbc="T T T"
Mo 0.000 0.000 0.000
Mo 1.801 0.341 3.526
Mo 1.875 0.341 10.265
Mo 3.676 0.000 6.739
Mo 5.477 -0.341 10.265
Mo 5.552 -0.341 3.526
O 0.000 0.000 4.105
O 0.000 0.000 10.036
O 0.113 -2.351 7.416
O 1.358 -0.102 12.295
O 1.399 0.174 1.775
O 1.823 -2.006 3.683
O 1.853 2.082 3.683
O 2.278 0.174 8.514
O 2.319 -0.102 5.556
O 3.564 1.737 7.416
O 3.676 0.000 3.297
O 3.676 0.000 10.844
O 3.789 -1.737 7.416
O 5.034 0.102 5.556
O 5.075 -0.174 8.514
O 5.500 -2.082 3.683
O 5.529 2.006 3.683
O 5.954 -0.174 1.775
O 5.995 0.102 12.295
O 7.240 2.351 7.416
```

Formation energy from the elements: -1.5903 eV/atom
Crystal system: orthorhombic
MP2020-corrected energy: -7.899 eV/atom
Offset from the most stable computed form: 34 meV/atom

***

The following is a PBE+U calculation of a relaxed structure of Mo3O8, from Materials Project.

Cell and atoms, written as extended XYZ:
```
22
Lattice="5.430 -3.097 0.000 5.430 3.097 0.000 -3.793 0.000 9.705" Properties=species:S:1:pos:R:3 pbc="T T T"
Mo 2.504 1.621 7.446
Mo 4.562 1.621 2.259
Mo -0.061 0.000 6.991
Mo 7.128 0.000 2.714
Mo 2.504 -1.621 7.446
Mo 4.562 -1.621 2.259
O 2.684 1.728 3.344
O -0.339 0.000 3.439
O -1.970 0.000 8.410
O 0.855 1.328 8.304
O 4.383 1.728 6.361
O 1.609 0.000 6.129
O 3.811 0.000 1.527
O 6.212 1.328 1.401
O 0.855 -1.328 8.304
O 3.255 0.000 8.179
O 5.458 0.000 3.576
O 2.684 -1.728 3.344
O 6.212 -1.328 1.401
O 9.036 0.000 1.296
O 7.406 0.000 6.266
O 4.383 -1.728 6.361
```

Formation energy from the elements: -1.6981 eV/atom
Crystal system: monoclinic
MP2020-corrected energy: -8.255 eV/atom
Offset from the most stable computed form: 0 meV/atom

***

The following is a PBE+U calculation of a relaxed structure of Mo3O7, from Materials Project.

Cell and atoms, written as extended XYZ:
```
40
Lattice="11.051 0.000 0.000 0.000 11.495 0.000 0.000 0.000 5.701" Properties=species:S:1:pos:R:3 pbc="T T T"
Mo 2.083 0.249 1.200
Mo 2.083 5.498 1.200
Mo 2.554 2.874 4.030
Mo 2.972 8.621 1.180
Mo 3.443 5.997 4.051
Mo 3.443 11.245 4.051
Mo 7.609 0.249 1.650
Mo 7.609 5.498 1.650
Mo 8.079 2.874 4.521
Mo 8.497 8.621 1.671
Mo 8.968 5.997 4.501
Mo 8.968 11.245 4.501
O 0.431 0.643 1.261
O 0.431 5.104 1.261
O 0.794 2.874 4.008
O 2.532 7.000 5.570
O 2.532 10.242 5.570
O 2.575 7.001 2.504
O 2.575 10.241 2.504
O 2.950 1.254 5.354
O 2.950 4.494 5.354
O 2.994 1.253 2.719
O 2.994 4.494 2.719
O 4.731 8.621 1.158
O 5.095 6.390 4.112
O 5.095 10.852 4.112
O 5.957 0.643 1.589
O 5.957 5.104 1.589
O 6.320 2.874 4.543
O 8.058 7.000 2.982
O 8.058 10.242 2.982
O 8.101 7.001 0.347
O 8.101 10.241 0.347
O 8.476 1.254 3.197
O 8.476 4.494 3.197
O 8.519 1.253 0.131
O 8.519 4.494 0.131
O 10.257 8.621 1.693
O 10.620 6.390 4.440
O 10.620 10.852 4.440
```

Formation energy from the elements: -1.7688 eV/atom
Crystal system: orthorhombic
MP2020-corrected energy: -8.486 eV/atom

***

The following is a PBE+U calculation of a relaxed structure of Mo3O8, from Materials Project.

Cell and atoms, written as extended XYZ:
```
11
Lattice="5.185 -3.079 0.000 5.185 3.079 0.000 -3.293 0.000 5.028" Properties=species:S:1:pos:R:3 pbc="T T T"
Mo 0.000 0.000 0.000
Mo 0.946 1.540 2.514
Mo 0.946 -1.540 2.514
O 2.477 1.731 3.800
O 1.634 0.000 1.242
O 4.599 1.731 1.228
O 0.274 0.000 3.484
O 6.802 0.000 1.545
O 2.477 -1.731 3.800
O 5.443 0.000 3.786
O 4.599 -1.730 1.228
```

Formation energy from the elements: -1.6688 eV/atom
Crystal system: monoclinic
MP2020-corrected energy: -8.225 eV/atom
Offset from the most stable computed form: 29 meV/atom

***

The following is a PBE+U calculation of a relaxed structure of Mo9O25, from Materials Project.

Cell and atoms, written as extended XYZ:
```
68
Lattice="6.890 0.000 0.000 0.000 5.581 0.000 -2.914 0.000 28.260" Properties=species:S:1:pos:R:3 pbc="T T T"
Mo -0.729 1.281 7.065
Mo -2.186 4.300 21.195
Mo -1.989 1.469 25.700
Mo -0.532 4.112 11.570
Mo 1.347 1.247 1.114
Mo -0.110 4.335 15.244
Mo 0.005 1.510 19.749
Mo 1.462 4.071 5.619
Mo 1.727 1.284 10.023
Mo 0.270 4.298 24.153
Mo 3.707 1.284 4.107
Mo 2.249 4.298 18.237
Mo 2.514 1.510 22.641
Mo 3.971 4.071 8.511
Mo 4.086 1.247 13.016
Mo 2.629 4.335 27.146
Mo 4.508 1.469 16.690
Mo 5.965 4.112 2.560
O 0.238 2.564 1.550
O -1.219 3.017 15.680
O -0.947 0.316 15.523
O 0.510 5.266 1.393
O -1.158 1.494 18.003
O 0.299 4.088 3.873
O 0.387 2.711 6.270
O -1.070 2.871 20.400
O -1.045 0.075 20.378
O 0.412 5.506 6.248
O 0.504 1.291 8.711
O -0.953 4.291 22.841
O 0.393 5.581 11.126
O -1.064 0.000 25.257
O -0.889 2.762 25.160
O 0.568 2.820 11.030
O -1.081 1.422 27.642
O 0.376 4.159 13.512
O 2.797 1.318 2.166
O 1.340 4.264 16.297
O 2.628 2.601 4.678
O 1.171 2.981 18.808
O 1.253 0.132 18.721
O 2.710 5.449 4.591
O 1.260 1.476 21.195
O 2.717 4.106 7.065
O 1.266 0.132 23.669
O 2.724 5.449 9.539
O 2.805 2.601 9.452
O 1.348 2.981 23.582
O 2.636 1.318 11.964
O 1.179 4.264 26.094
O 3.600 1.422 14.748
O 5.057 4.159 0.618
O 3.408 2.762 17.230
O 4.865 2.820 3.100
O 5.041 5.581 3.004
O 3.583 0.000 17.134
O 4.929 1.291 5.419
O 3.472 4.291 19.549
O 3.564 0.075 22.012
O 5.021 5.506 7.882
O 5.046 2.711 7.860
O 3.589 2.871 21.990
O 3.677 1.494 24.387
O 5.134 4.088 10.257
O 3.466 0.316 26.867
O 4.923 5.266 12.737
O 5.195 2.564 12.580
O 3.738 3.017 26.710
```

Formation energy from the elements: -1.9365 eV/atom
Crystal system: monoclinic
MP2020-corrected energy: -8.446 eV/atom

***

The following is a PBE+U calculation of a relaxed structure of MoO5, from Materials Project.

Cell and atoms, written as extended XYZ:
```
12
Lattice="3.947 0.000 0.000 0.000 6.067 0.000 -0.002 0.000 7.753" Properties=species:S:1:pos:R:3 pbc="T T T"
Mo 0.000 0.000 0.000
Mo 0.487 0.000 3.875
O 0.068 1.943 0.235
O 0.068 4.124 0.235
O 0.196 1.944 3.861
O 0.196 4.123 3.861
O 0.204 0.000 2.097
O 0.279 0.000 5.970
O 0.754 3.034 4.563
O 0.831 3.034 7.528
O 2.167 0.000 0.159
O 2.244 0.000 4.080
```

Formation energy from the elements: -0.6139 eV/atom
Crystal system: monoclinic
MP2020-corrected energy: -6.545 eV/atom
Offset from the most stable computed form: 0 meV/atom

***

The following is a PBE+U calculation of a relaxed structure of Mo3O8, from Materials Project.

Cell and atoms, written as extended XYZ:
```
11
Lattice="3.082 1.779 4.849 -3.082 1.779 4.849 0.000 -3.559 4.849" Properties=species:S:1:pos:R:3 pbc="T T T"
Mo -1.541 -0.890 4.849
Mo -1.541 0.890 9.697
Mo 0.000 1.779 4.849
O 0.000 -1.570 5.833
O -1.360 0.785 5.833
O 0.000 0.000 3.751
O -1.360 -0.785 8.713
O 1.360 0.785 5.833
O 0.000 0.000 10.795
O 1.360 -0.785 8.713
O 0.000 1.570 8.713
```

Formation energy from the elements: -1.6276 eV/atom
Crystal system: trigonal
MP2020-corrected energy: -8.184 eV/atom
Offset from the most stable computed form: 71 meV/atom

***

Q: Among the records above, which one has the lowest MP2020-corrected energy?
A: NpMoO3

***

Q: The highest formation energy from the elements belongs to which entry?
A: Zr9NiMo4O3

***

Copy entry 6 word for word.
The following is a PBE+U calculation of a relaxed structure of Mo3O10, from Materials Project.

Cell and atoms, written as extended XYZ:
```
26
Lattice="7.353 0.000 0.000 0.000 4.089 6.739 0.000 -4.089 6.739" Properties=species:S:1:pos:R:3 pbc="T T T"
Mo 0.000 0.000 0.000
Mo 1.801 0.341 3.526
Mo 1.875 0.341 10.265
Mo 3.676 0.000 6.739
Mo 5.477 -0.341 10.265
Mo 5.552 -0.341 3.526
O 0.000 0.000 4.105
O 0.000 0.000 10.036
O 0.113 -2.351 7.416
O 1.358 -0.102 12.295
O 1.399 0.174 1.775
O 1.823 -2.006 3.683
O 1.853 2.082 3.683
O 2.278 0.174 8.514
O 2.319 -0.102 5.556
O 3.564 1.737 7.416
O 3.676 0.000 3.297
O 3.676 0.000 10.844
O 3.789 -1.737 7.416
O 5.034 0.102 5.556
O 5.075 -0.174 8.514
O 5.500 -2.082 3.683
O 5.529 2.006 3.683
O 5.954 -0.174 1.775
O 5.995 0.102 12.295
O 7.240 2.351 7.416
```

Formation energy from the elements: -1.5903 eV/atom
Crystal system: orthorhombic
MP2020-corrected energy: -7.899 eV/atom
Offset from the most stable computed form: 34 meV/atom

***

Q: MP2020-corrected energy of number 9 (Mo3O8)?
A: -8.225 eV/atom